Entry 1:
VASP calculation (PBE) on LaGe after structural relaxation.

a = 4.1411 Å, b = 6.1208 Å, c = 8.5330 Å
α = 90.00°, β = 90.00°, γ = 90.00°
Fractional positions:
La (0.7500, 0.6176, 0.3186)
La (0.7500, 0.8824, 0.8186)
La (0.2500, 0.3824, 0.6814)
La (0.2500, 0.1176, 0.1814)
Ge (0.2500, 0.6333, 0.0372)
Ge (0.7500, 0.3667, 0.9628)
Ge (0.7500, 0.1333, 0.4628)
Ge (0.2500, 0.8667, 0.5372)

## Properties
**ΔE_f**: -0.836 eV per atom
**Calculated density**: 6.50 g cm⁻³
**Electronic total energy**: -0.20635 hartree per atom
**Symmetry**: Pnma, No. 62

=====

Entry 2:
VASP calculation (PBE) on LaGe after structural relaxation.

a = 7.3051 Å, b = 7.3051 Å, c = 6.7846 Å
α = 90.00°, β = 90.00°, γ = 143.39°
Fractional positions:
La (0.2255, 0.7745, 0.2500)
La (0.7745, 0.2255, 0.7500)
La (0.9520, 0.0480, 0.2500)
La (0.0480, 0.9520, 0.7500)
Ge (0.5981, 0.4019, 0.0555)
Ge (0.4019, 0.5981, 0.9445)
Ge (0.4019, 0.5981, 0.5555)
Ge (0.5981, 0.4019, 0.4445)

## Properties
**ΔE_f**: -0.852 eV per atom
**Calculated density**: 6.51 g cm⁻³
**Electronic total energy**: -0.20695 hartree per atom
**Symmetry**: Cmcm, No. 63

=====

Entry 3:
VASP calculation (PBE) on La3Ge5 after structural relaxation.

a = 11.6477 Å, b = 9.6486 Å, c = 7.8242 Å
α = 82.91°, β = 55.29°, γ = 41.80°
Fractional positions:
Ge (0.3262, 0.3153, 0.5986)
Ge (0.4901, 0.6514, 0.9347)
Ge (0.0468, 0.7782, 0.7294)
Ge (0.8044, 0.5206, 0.4718)
Ge (0.4718, 0.2032, 0.8044)
Ge (0.2381, 0.2619, 0.2381)
Ge (0.9347, 0.9238, 0.4901)
Ge (0.9881, 0.0119, 0.9881)
Ge (0.7294, 0.4456, 0.0468)
Ge (0.5986, 0.7599, 0.3262)
La (0.4860, 0.3494, 0.1309)
La (0.5525, 0.4475, 0.5525)
La (0.9006, 0.7640, 0.2163)
La (0.1309, 0.0337, 0.4860)
La (0.8025, 0.6975, 0.8025)
La (0.2163, 0.1191, 0.9006)

## Properties
**ΔE_f**: -0.768 eV per atom
**Calculated density**: 6.43 g cm⁻³
**Electronic total energy**: -0.20244 hartree per atom
**Symmetry**: Fdd2, No. 43

=====

Entry 4:
VASP calculation (PBE) on LiLaGe2 after structural relaxation.

a = 4.0645 Å, b = 7.9594 Å, c = 10.9087 Å
α = 90.00°, β = 90.00°, γ = 90.00°
Fractional positions:
La (0.7500, 0.8631, 0.1361)
La (0.7500, 0.3631, 0.3639)
La (0.2500, 0.1369, 0.8639)
La (0.2500, 0.6369, 0.6361)
Li (0.7500, 0.0052, 0.6118)
Li (0.2500, 0.4948, 0.1118)
Li (0.2500, 0.9948, 0.3882)
Li (0.7500, 0.5052, 0.8882)
Ge (0.2500, 0.2202, 0.5662)
Ge (0.7500, 0.7798, 0.4338)
Ge (0.7500, 0.3393, 0.6805)
Ge (0.7500, 0.2798, 0.0662)
Ge (0.2500, 0.6607, 0.3195)
Ge (0.7500, 0.8393, 0.8195)
Ge (0.2500, 0.7202, 0.9338)
Ge (0.2500, 0.1607, 0.1805)

## Properties
**ΔE_f**: -0.700 eV per atom
**Calculated density**: 5.48 g cm⁻³
**Electronic total energy**: -0.17358 hartree per atom
**Symmetry**: Pnma, No. 62

=====

Entry 5:
VASP calculation (PBE) on LaMn2Ge2 after structural relaxation.

a = 6.2615 Å, b = 6.2615 Å, c = 6.2615 Å
α = 142.19°, β = 142.19°, γ = 54.54°
Fractional positions:
Ge (0.3734, 0.3734, 0.0000)
Ge (0.6266, 0.6266, 0.0000)
La (0.0000, 0.0000, 0.0000)
Mn (0.7500, 0.2500, 0.5000)
Mn (0.2500, 0.7500, 0.5000)

## Properties
**ΔE_f**: -0.462 eV per atom
**Calculated density**: 7.14 g cm⁻³
**Electronic total energy**: -0.25588 hartree per atom
**Symmetry**: I4/mmm, No. 139

=====

Entry 6:
VASP calculation (PBE) on LaMnGe after structural relaxation.

a = 4.3758 Å, b = 4.3758 Å, c = 7.1004 Å
α = 90.00°, β = 90.00°, γ = 90.00°
Fractional positions:
Mn (0.5000, 0.5000, 0.0000)
Mn (0.0000, 0.0000, 0.0000)
La (0.5000, 0.0000, 0.6763)
La (0.0000, 0.5000, 0.3237)
Ge (0.0000, 0.5000, 0.7996)
Ge (0.5000, 0.0000, 0.2004)

## Properties
**ΔE_f**: -0.440 eV per atom
**Calculated density**: 6.51 g cm⁻³
**Electronic total energy**: -0.24549 hartree per atom
**Symmetry**: P4/nmm, No. 129

=====

Entry 7:
VASP calculation (PBE) on Na5La3GeP6O24 after structural relaxation.

a = 9.4145 Å, b = 9.4037 Å, c = 23.1480 Å
α = 90.03°, β = 89.93°, γ = 120.15°
Fractional positions:
La (0.9953, 0.9976, 0.3576)
La (0.3314, 0.6525, 0.5139)
La (0.6582, 0.3248, 0.1782)
La (0.3327, 0.6752, 0.0082)
La (0.0015, 0.9992, 0.8563)
La (0.3332, 0.6632, 0.3339)
La (0.6497, 0.3251, 0.6875)
La (0.0124, 0.9999, 0.1445)
La (0.0163, 0.0111, 0.6510)
P (0.3038, 0.3353, 0.7587)
P (0.6800, 0.6278, 0.5804)
P (0.3033, 0.9898, 0.2523)
P (0.0089, 0.3108, 0.2464)
P (0.6214, 0.6365, 0.9181)
P (0.3748, 0.3277, 0.0731)
P (0.9387, 0.3227, 0.5809)
P (0.0226, 0.6972, 0.7525)
P (0.6892, 0.6974, 0.2460)
P (0.6466, 0.0037, 0.4240)
P (0.9963, 0.6435, 0.4243)
P (0.0146, 0.3786, 0.9183)
P (0.6752, 0.9774, 0.7536)
P (0.6785, 0.0485, 0.0751)
P (0.3645, 0.9850, 0.9164)
P (0.3742, 0.0474, 0.5751)
P (0.9432, 0.6176, 0.0750)
P (0.3579, 0.3489, 0.4186)
Na (0.6608, 0.6969, 0.0740)
Na (0.0367, 0.6993, 0.5751)
Na (0.6602, 0.9636, 0.5753)
Na (0.6673, 0.3331, 0.3475)
Na (0.0371, 0.3352, 0.0734)
Na (0.6499, 0.6577, 0.7594)
Na (0.6567, 0.3235, 0.8414)
Na (0.3626, 0.3621, 0.2596)
Na (0.0156, 0.0151, 0.4977)
Na (0.0028, 0.3594, 0.7595)
Na (0.3357, 0.6824, 0.1706)
Na (0.0171, 0.9998, 0.9969)
Na (0.6425, 0.0019, 0.2578)
Na (0.9953, 0.6353, 0.2578)
Na (0.3353, 0.6719, 0.6754)
O (0.2089, 0.9737, 0.1953)
O (0.8229, 0.0333, 0.4223)
O (0.1109, 0.6264, 0.0723)
O (0.4615, 0.1206, 0.6325)
O (0.9802, 0.7852, 0.7986)
O (0.3831, 0.8804, 0.8645)
O (0.8409, 0.3676, 0.9216)
O (0.6310, 0.4725, 0.9207)
O (0.8428, 0.0453, 0.0707)
O (0.8204, 0.5065, 0.0264)
O (0.3377, 0.8976, 0.9737)
O (0.1101, 0.6684, 0.4756)
O (0.9673, 0.7902, 0.4215)
O (0.6661, 0.5479, 0.6397)
O (0.3326, 0.4495, 0.4653)
O (0.6638, 0.5207, 0.2478)
O (0.6820, 0.1672, 0.0266)
O (0.4844, 0.3183, 0.0239)
O (0.1850, 0.6901, 0.7662)
O (0.5378, 0.6647, 0.5757)
O (0.2041, 0.2632, 0.7017)
O (0.5556, 0.6595, 0.9755)
O (0.4745, 0.1610, 0.5238)
O (0.8560, 0.3334, 0.2480)
O (0.7355, 0.9408, 0.6954)
O (0.9509, 0.1632, 0.5792)
O (0.0520, 0.7868, 0.6934)
O (0.8784, 0.5161, 0.7498)
O (0.6518, 0.1719, 0.4294)
O (0.9548, 0.7880, 0.0700)
O (0.5556, 0.8902, 0.4752)
O (0.3178, 0.8320, 0.2567)
O (0.2193, 0.0106, 0.9059)
O (0.3049, 0.5051, 0.7668)
O (0.5279, 0.1570, 0.9197)
O (0.9908, 0.1942, 0.2959)
O (0.5055, 0.8113, 0.7660)
O (0.6699, 0.1122, 0.1360)
O (0.5065, 0.6226, 0.8649)
O (0.1079, 0.4806, 0.5756)
O (0.8003, 0.0048, 0.8004)
O (0.1976, 0.1787, 0.0686)
O (0.4792, 0.1427, 0.2519)
O (0.4454, 0.3300, 0.1337)
O (0.3567, 0.8740, 0.5726)
O (0.5534, 0.9236, 0.3661)
O (0.8756, 0.5471, 0.1357)
O (0.0738, 0.6250, 0.3667)
O (0.6851, 0.5173, 0.5304)
O (0.2094, 0.0066, 0.3031)
O (0.7953, 0.7831, 0.9098)
O (0.2167, 0.2196, 0.8082)
O (0.3753, 0.4351, 0.3589)
O (0.9891, 0.2069, 0.9078)
O (0.1148, 0.4996, 0.8658)
O (0.8454, 0.7965, 0.5786)
O (0.5194, 0.6867, 0.2536)
O (0.2111, 0.1733, 0.4198)
O (0.1662, 0.4830, 0.2538)
O (0.0257, 0.2377, 0.1880)
O (0.8066, 0.7950, 0.2954)
O (0.3647, 0.4877, 0.0718)
O (0.1981, 0.0233, 0.5757)
O (0.8286, 0.4795, 0.4313)
O (0.5226, 0.3509, 0.4286)
O (0.4844, 0.3766, 0.7541)
O (0.6531, 0.1282, 0.7519)
O (0.5347, 0.8692, 0.0728)
O (0.8699, 0.3332, 0.6401)
O (0.7637, 0.7865, 0.1875)
O (0.1033, 0.4409, 0.9759)
O (0.8179, 0.3059, 0.5310)
Ge (0.3328, 0.6798, 0.8223)
Ge (0.6641, 0.3315, 0.9772)
Ge (0.6627, 0.3321, 0.4839)

## Properties
**ΔE_f**: -2.884 eV per atom
**Calculated density**: 3.30 g cm⁻³
**Electronic total energy**: -0.25750 hartree per atom
**Symmetry**: P1, No. 1

=====

Entry 8:
VASP calculation (PBE) on Na2LaGeP3O12 after structural relaxation.

a = 9.3018 Å, b = 9.3018 Å, c = 22.6827 Å
α = 92.73°, β = 87.27°, γ = 121.86°
Fractional positions:
O (0.1795, 0.0633, 0.5880)
O (0.4652, 0.1200, 0.2451)
O (0.5410, 0.8856, 0.4694)
O (0.2134, 0.2015, 0.4118)
O (0.3374, 0.4496, 0.0831)
O (0.7143, 0.5307, 0.5310)
O (0.8800, 0.5348, 0.7451)
O (0.8526, 0.4623, 0.4198)
O (0.0214, 0.2173, 0.3107)
O (0.4494, 0.3119, 0.1440)
O (0.6033, 0.1538, 0.4213)
O (0.3810, 0.8641, 0.8643)
O (0.5377, 0.1474, 0.9198)
O (0.0477, 0.1974, 0.1976)
O (0.5128, 0.7300, 0.2546)
O (0.3911, 0.4794, 0.3548)
O (0.3547, 0.8840, 0.9773)
O (0.2974, 0.8755, 0.5705)
O (0.1144, 0.4590, 0.9694)
O (0.4578, 0.3693, 0.7372)
O (0.1245, 0.7026, 0.0705)
O (0.2077, 0.2189, 0.8028)
O (0.8837, 0.3292, 0.2497)
O (0.2700, 0.4872, 0.7546)
O (0.5193, 0.7956, 0.7531)
O (0.5467, 0.8681, 0.0785)
O (0.1160, 0.6453, 0.4773)
O (0.9367, 0.8205, 0.0880)
O (0.5206, 0.6089, 0.8548)
O (0.6881, 0.5506, 0.6440)
O (0.0041, 0.7829, 0.4164)
O (0.8462, 0.3967, 0.9213)
O (0.9962, 0.8018, 0.7992)
O (0.8026, 0.9523, 0.6976)
O (0.0577, 0.8127, 0.6882)
O (0.4478, 0.1256, 0.6361)
O (0.8288, 0.5526, 0.0250)
O (0.1860, 0.1289, 0.0865)
O (0.8539, 0.2756, 0.5215)
O (0.5504, 0.6626, 0.5831)
O (0.4693, 0.2857, 0.0310)
O (0.1621, 0.2192, 0.6917)
O (0.6307, 0.5422, 0.2372)
O (0.8683, 0.0542, 0.0899)
O (0.9641, 0.2089, 0.9039)
O (0.5316, 0.6705, 0.9659)
O (0.4474, 0.1712, 0.5250)
O (0.6125, 0.4650, 0.9232)
O (0.8744, 0.5522, 0.1361)
O (0.1982, 0.0038, 0.2992)
O (0.2792, 0.7984, 0.2566)
O (0.8649, 0.3371, 0.6325)
O (0.3295, 0.4684, 0.4659)
O (0.2171, 0.9959, 0.9164)
O (0.4955, 0.8859, 0.3583)
O (0.7985, 0.7866, 0.9118)
O (0.7244, 0.1461, 0.0215)
O (0.6708, 0.1163, 0.7497)
O (0.7811, 0.7923, 0.3028)
O (0.2044, 0.4807, 0.2531)
O (0.1359, 0.6190, 0.3643)
O (0.7827, 0.9786, 0.8107)
O (0.1141, 0.5045, 0.8583)
O (0.1873, 0.9423, 0.1882)
O (0.7911, 0.0359, 0.4039)
O (0.9458, 0.1317, 0.5899)
O (0.2016, 0.7208, 0.7566)
O (0.5350, 0.3875, 0.4232)
O (0.8711, 0.8140, 0.5865)
O (0.6629, 0.1351, 0.1325)
O (0.1319, 0.4533, 0.5785)
O (0.7808, 0.8379, 0.1917)
Na (0.0187, 0.6720, 0.5879)
Na (0.6679, 0.3318, 0.3405)
Na (0.6853, 0.0054, 0.9212)
Na (0.3346, 0.6651, 0.6738)
Na (0.3349, 0.6654, 0.1738)
Na (0.9946, 0.3147, 0.4212)
Na (0.3280, 0.9813, 0.0879)
Na (0.3520, 0.3387, 0.2546)
Na (0.6682, 0.3321, 0.8405)
Na (0.0012, 0.9984, 0.0071)
Na (0.0016, 0.9988, 0.5071)
Na (0.6613, 0.6480, 0.7546)
P (0.0313, 0.7190, 0.7460)
P (0.0319, 0.6365, 0.4209)
P (0.9477, 0.3020, 0.5794)
P (0.2743, 0.3191, 0.7471)
P (0.0302, 0.3014, 0.2542)
P (0.6076, 0.9858, 0.4138)
P (0.3652, 0.3031, 0.0876)
P (0.6980, 0.0523, 0.0794)
P (0.6809, 0.7257, 0.2471)
P (0.3476, 0.0591, 0.5805)
P (0.9409, 0.6524, 0.0805)
P (0.3635, 0.9681, 0.9209)
P (0.6986, 0.9698, 0.7542)
P (0.0142, 0.3924, 0.9138)
P (0.6144, 0.6354, 0.9127)
P (0.6969, 0.6348, 0.5876)
P (0.3646, 0.3856, 0.4127)
P (0.2810, 0.9687, 0.2460)
La (0.3541, 0.6749, 0.5259)
La (0.6585, 0.3126, 0.6925)
La (0.6874, 0.3415, 0.1925)
La (0.3251, 0.6459, 0.0259)
La (0.0208, 0.0082, 0.8592)
La (0.9918, 0.9792, 0.3592)
Ge (0.6686, 0.3613, 0.9786)
Ge (0.3353, 0.6946, 0.3119)
Ge (0.9720, 0.9981, 0.1452)
Ge (0.3054, 0.6647, 0.8119)
Ge (0.0019, 0.0280, 0.6452)
Ge (0.6387, 0.3314, 0.4786)

## Properties
**ΔE_f**: -2.675 eV per atom
**Calculated density**: 3.25 g cm⁻³
**Electronic total energy**: -0.25221 hartree per atom

=====

Please write out number 1 again, unchanged.
VASP calculation (PBE) on LaGe after structural relaxation.

a = 4.1411 Å, b = 6.1208 Å, c = 8.5330 Å
α = 90.00°, β = 90.00°, γ = 90.00°
Fractional positions:
La (0.7500, 0.6176, 0.3186)
La (0.7500, 0.8824, 0.8186)
La (0.2500, 0.3824, 0.6814)
La (0.2500, 0.1176, 0.1814)
Ge (0.2500, 0.6333, 0.0372)
Ge (0.7500, 0.3667, 0.9628)
Ge (0.7500, 0.1333, 0.4628)
Ge (0.2500, 0.8667, 0.5372)

## Properties
**ΔE_f**: -0.836 eV per atom
**Calculated density**: 6.50 g cm⁻³
**Electronic total energy**: -0.20635 hartree per atom
**Symmetry**: Pnma, No. 62

=====

Q: The lowest calculated density belongs to which entry?
A: Na2LaGeP3O12

=====

Q: Number 1 is which compound?
A: LaGe